Ba6MgCo2Sb4O18 (PBE with a Hubbard U, relaxed); E_tot = -6.123 eV per atom; energy above the lowest structure with this stoichiometry = 16 meV/atom; energy of formation = -2.34 eV per atom; V = 472.15 Å³ per cell; SG = No. 1
1.0
5.937 0.000 0.000
2.944 5.156 0.000
0.047 2.695 15.425
Ba Mg Co Sb O
6 1 2 4 18
direct
0.000 0.000 0.000
0.104 0.756 0.243
0.227 0.517 0.686
0.510 0.938 0.525
0.618 0.759 0.851
0.808 0.350 0.366
0.371 0.251 0.110
0.159 0.642 0.454
0.300 0.388 0.929
0.458 0.050 0.298
0.705 0.585 0.100
0.867 0.229 0.599
0.931 0.130 0.785
0.021 0.457 0.017
0.026 0.414 0.534
0.098 0.768 0.853
0.141 0.266 0.213
0.142 0.229 0.852
0.192 0.022 0.692
0.287 0.880 0.377
0.333 0.340 0.372
0.460 0.509 0.028
0.518 0.440 0.539
0.533 0.966 0.033
0.571 0.755 0.229
0.622 0.206 0.212
0.639 0.267 0.861
0.737 0.043 0.698
0.763 0.475 0.696
0.797 0.838 0.376
0.997 0.928 0.539